Density functional theory data (GGA-PBE) for a geometry-optimized GeAs structure.

a b c (Å): 16.6496 3.8333 9.9023
angles (deg): 90.00 104.82 90.00
Space group C2/m (No. 12)
Symmetry-distinct sites (fractional):
Ge: 0.0674 0.0000 0.0914 (multiplicity 4)
Ge: 0.1307 0.5000 0.4203 (multiplicity 4)
Ge: 0.2402 0.5000 0.2900 (multiplicity 4)
As: 0.0367 0.0000 0.3274 (multiplicity 4)
As: 0.1535 0.5000 0.0461 (multiplicity 4)
As: 0.1611 0.5000 0.6798 (multiplicity 4)

=====

Density functional theory data (GGA-PBE) for a geometry-optimized Ge3As structure.

a b c (Å): 6.7763 6.7763 6.7763
angles (deg): 90.00 90.00 90.00
Space group Fm-3m (No. 225)
Symmetry-distinct sites (fractional):
Ge: 0.0000 0.0000 0.0000 (multiplicity 4)
Ge: 0.2500 0.2500 0.2500 (multiplicity 8)
As: 0.0000 0.0000 0.5000 (multiplicity 4)

Computed properties:
Magnetization in μB per formula unit: 0.00

=====

Density functional theory data (GGA-PBE) for a geometry-optimized GeAs3 structure.

a b c (Å): 3.8141 3.8141 11.1218
angles (deg): 90.00 90.00 90.00
Space group I4/mmm (No. 139)
Symmetry-distinct sites (fractional):
Ge: 0.0000 0.0000 0.0000 (multiplicity 2)
As: 0.0000 0.0000 0.5000 (multiplicity 2)
As: 0.0000 0.5000 0.2500 (multiplicity 4)

Computed properties:
Magnetization in μB per formula unit: 0.00

=====

Density functional theory data (GGA-PBE) for a geometry-optimized GeAs3 structure.

a b c (Å): 3.7702 3.7702 21.9532
angles (deg): 90.00 90.00 120.00
Space group R3m (No. 160, hexagonal axes)
Symmetry-distinct sites (fractional):
Ge: 0.0000 0.0000 0.0000 (multiplicity 3)
As: 0.0000 0.0000 0.2259 (multiplicity 3)
As: 0.0000 0.0000 0.4980 (multiplicity 3)
As: 0.0000 0.0000 0.7210 (multiplicity 3)

Computed properties:
Magnetization in μB per formula unit: 0.01

=====

Density functional theory data (GGA-PBE) for a geometry-optimized Ge12As11I4 structure.

a b c (Å): 11.1557 11.1557 11.1557
angles (deg): 90.00 90.00 90.00
Space group Pm-3n (No. 223)
Symmetry-distinct sites (fractional):
Ge: 0.0000 0.1184 0.3104 (multiplicity 24)
As: 0.0000 0.2500 0.5000 (multiplicity 6)
As: 0.1856 0.1856 0.1856 (multiplicity 16)
I: 0.0000 0.0000 0.0000 (multiplicity 2)
I: 0.0000 0.5000 0.2500 (multiplicity 6)

Computed properties:
Magnetization in μB per formula unit: 0.00

=====

Density functional theory data (GGA-PBE) for a geometry-optimized Ge19As4I4 structure.

a b c (Å): 10.8364 10.8364 10.8364
angles (deg): 90.00 90.00 90.00
Space group P-43n (No. 218)
Symmetry-distinct sites (fractional):
Ge: 0.0000 0.2500 0.5000 (multiplicity 6)
Ge: 0.0027 0.1173 0.3097 (multiplicity 24)
Ge: 0.1825 0.1825 0.1825 (multiplicity 8)
As: 0.1843 0.1843 0.8157 (multiplicity 8)
I: 0.0000 0.0000 0.0000 (multiplicity 2)
I: 0.0000 0.5000 0.2500 (multiplicity 6)

Computed properties:
Magnetization in μB per formula unit: 0.00

=====

Density functional theory data (GGA-PBE) for a geometry-optimized Rb2InGe4As7 structure.

a b c (Å): 16.9959 3.8965 12.6639
angles (deg): 90.00 90.15 90.00
Space group Cm (No. 8)
Symmetry-distinct sites (fractional):
Rb: 0.0000 0.0000 0.0000 (multiplicity 2)
Rb: 0.0336 0.5000 0.4809 (multiplicity 2)
In: 0.3011 0.5000 0.4240 (multiplicity 2)
Ge: 0.2391 0.5000 0.9357 (multiplicity 2)
Ge: 0.2434 0.0000 0.1989 (multiplicity 2)
Ge: 0.2984 0.0000 0.7057 (multiplicity 2)
Ge: 0.4285 0.5000 0.2941 (multiplicity 2)
As: 0.1236 0.5000 0.8074 (multiplicity 2)
As: 0.1522 0.0000 0.6876 (multiplicity 2)
As: 0.1739 0.5000 0.1108 (multiplicity 2)
As: 0.1959 0.0000 0.3830 (multiplicity 2)
As: 0.3264 0.0000 0.8982 (multiplicity 2)
As: 0.3642 0.5000 0.6242 (multiplicity 2)
As: 0.3886 0.0000 0.1780 (multiplicity 2)

Computed properties:
Magnetization in μB per formula unit: 0.00

=====

Density functional theory data (GGA-PBE) for a geometry-optimized ZnInGeAs3 structure.

a b c (Å): 13.7999 4.1676 5.8928
angles (deg): 90.00 115.14 90.00
Space group Cm (No. 8)
Symmetry-distinct sites (fractional):
Zn: 0.0000 0.0000 0.0000 (multiplicity 2)
In: 0.3342 0.0000 0.3210 (multiplicity 2)
Ge: 0.1633 0.5000 0.6420 (multiplicity 2)
As: 0.0080 0.5000 0.2325 (multiplicity 2)
As: 0.1566 0.0000 0.8852 (multiplicity 2)
As: 0.3333 0.5000 0.5992 (multiplicity 2)

=====

Density functional theory data (GGA-PBE) for a geometry-optimized KGe3As3 structure.

a b c (Å): 10.1485 3.8750 18.9388
angles (deg): 90.00 90.00 90.00
Space group Pnma (No. 62)
Symmetry-distinct sites (fractional):
K: 0.2213 0.2500 0.0426 (multiplicity 4)
Ge: 0.0206 0.2500 0.6313 (multiplicity 4)
Ge: 0.0864 0.7500 0.2437 (multiplicity 4)
Ge: 0.1923 0.7500 0.8433 (multiplicity 4)
As: 0.0439 0.2500 0.8693 (multiplicity 4)
As: 0.1141 0.2500 0.4205 (multiplicity 4)
As: 0.2388 0.2500 0.2188 (multiplicity 4)

Computed properties:
Magnetization in μB per formula unit: 0.00

=====

Density functional theory data (GGA-PBE) for a geometry-optimized Li5GeAs3 structure.

a b c (Å): 13.4743 6.0780 8.6926
angles (deg): 90.00 108.60 90.00
Space group Cc (No. 9)
Symmetry-distinct sites (fractional):
Li: 0.0000 0.2460 0.0000 (multiplicity 4)
Li: 0.0023 0.2468 0.5110 (multiplicity 4)
Li: 0.1657 0.2527 0.8362 (multiplicity 4)
Li: 0.3299 0.2463 0.1642 (multiplicity 4)
Li: 0.3328 0.2469 0.6727 (multiplicity 4)
Ge: 0.1668 0.2372 0.3420 (multiplicity 4)
As: 0.0050 0.0179 0.2596 (multiplicity 4)
As: 0.1656 0.4991 0.5845 (multiplicity 4)
As: 0.3275 0.0169 0.4133 (multiplicity 4)

Computed properties:
Magnetization in μB per formula unit: 0.00

=====

Density functional theory data (GGA-PBE) for a geometry-optimized Li5GeAs3 structure.

a b c (Å): 13.4873 6.0731 8.6734
angles (deg): 90.00 108.66 90.00
Space group C2/c (No. 15)
Symmetry-distinct sites (fractional):
Li: 0.0000 0.2477 0.2500 (multiplicity 4)
Li: 0.1642 0.2532 0.5794 (multiplicity 8)
Li: 0.1668 0.2521 0.0850 (multiplicity 8)
Ge: 0.0000 0.2650 0.7500 (multiplicity 4)
As: 0.0000 0.0000 0.0000 (multiplicity 4)
As: 0.1610 0.4854 0.8280 (multiplicity 8)

Computed properties:
Magnetization in μB per formula unit: 0.00

=====

Density functional theory data (GGA-PBE) for a geometry-optimized Na5GeAs3 structure.

a b c (Å): 8.4033 7.6208 15.9565
angles (deg): 90.00 121.75 90.00
Space group P2_1/c (No. 14)
Symmetry-distinct sites (fractional):
Na: 0.0047 0.1624 0.0813 (multiplicity 4)
Na: 0.0821 0.0058 0.7574 (multiplicity 4)
Na: 0.2593 0.5199 0.0861 (multiplicity 4)
Na: 0.3148 0.6456 0.7424 (multiplicity 4)
Na: 0.4155 0.0369 0.0859 (multiplicity 4)
Ge: 0.3424 0.1432 0.4122 (multiplicity 4)
As: 0.0726 0.2348 0.9177 (multiplicity 4)
As: 0.3408 0.6907 0.9330 (multiplicity 4)
As: 0.3610 0.2403 0.2696 (multiplicity 4)

=====

Density functional theory data (GGA-PBE) for a geometry-optimized Na2Zn3GeAs4 structure.

a b c (Å): 16.6613 4.1312 7.1790
angles (deg): 90.00 115.29 90.00
Space group Cm (No. 8)
Symmetry-distinct sites (fractional):
Na: 0.0000 0.0000 0.0000 (multiplicity 2)
Na: 0.0041 0.5000 0.5018 (multiplicity 2)
Zn: 0.2056 0.5000 0.0261 (multiplicity 2)
Zn: 0.3273 0.0000 0.0074 (multiplicity 2)
Zn: 0.3358 0.5000 0.4863 (multiplicity 2)
Ge: 0.1949 0.0000 0.5381 (multiplicity 2)
As: 0.1381 0.0000 0.8092 (multiplicity 2)
As: 0.1416 0.5000 0.3030 (multiplicity 2)
As: 0.3611 0.0000 0.6978 (multiplicity 2)
As: 0.3803 0.5000 0.2071 (multiplicity 2)

Computed properties:
Magnetization in μB per formula unit: 0.00

=====

Density functional theory data (GGA-PBE) for a geometry-optimized Ni4Ge3As9 structure.

a b c (Å): 11.7564 8.4221 8.2878
angles (deg): 90.00 134.80 90.00
Space group Cm (No. 8)
Symmetry-distinct sites (fractional):
Ni: 0.0000 0.2482 0.0000 (multiplicity 4)
Ni: 0.0020 0.2500 0.5002 (multiplicity 4)
Ge: 0.0954 0.5000 0.6937 (multiplicity 2)
Ge: 0.0956 0.5000 0.9963 (multiplicity 2)
Ge: 0.4064 0.5000 0.3061 (multiplicity 2)
As: 0.1001 0.3454 0.3494 (multiplicity 4)
As: 0.2502 0.1518 0.8421 (multiplicity 4)
As: 0.2517 0.1533 0.1573 (multiplicity 4)
As: 0.4032 0.3438 0.6510 (multiplicity 4)
As: 0.4058 0.5000 0.0051 (multiplicity 2)

Computed properties:
Magnetization in μB per formula unit: 0.00

=====

| no. | final energy (eV for the cell shown) | energy of formation (meV/atom) |
| --- | --- | --- |
| 1 | -112.42 | -43 |
| 2 | -68.63 | 342 |
| 3 | -33.92 | 411 |
| 4 | -55.04 | 64 |
| 5 | -227.71 | -94 |
| 6 | -229.84 | -143 |
| 7 | -116.85 | -186 |
| 8 | -47.16 | -162 |
| 9 | -121.50 | -203 |
| 10 | -131.19 | -517 |
| 11 | -131.17 | -516 |
| 12 | -115.07 | -395 |
| 13 | -64.94 | -278 |
| 14 | -163.32 | -171 |